# 1
# Rb4Te2H3S8O12 | the Materials Project | PBE | optimized geometry
data_Rb4Te2H3S8O12
_cell_length_a 21.721
_cell_length_b 9.540
_cell_length_c 12.580
_cell_angle_alpha 90.00
_cell_angle_beta 90.00
_cell_angle_gamma 90.00
_space_group_name_H-M_alt 'P 1'
_space_group_IT_number 1
loop_
_space_group_symop_operation_xyz
'x,y,z'
loop_
_atom_site_label
_atom_site_type_symbol
_atom_site_fract_x
_atom_site_fract_y
_atom_site_fract_z
Rb1 Rb 0.107 0.091 0.191
Rb2 Rb 0.107 0.909 0.691
Rb3 Rb 0.231 0.248 0.468
Rb4 Rb 0.231 0.752 0.968
Rb5 Rb 0.269 0.252 0.968
Rb6 Rb 0.269 0.748 0.468
Rb7 Rb 0.393 0.409 0.691
Rb8 Rb 0.393 0.591 0.191
Rb9 Rb 0.607 0.409 0.809
Rb10 Rb 0.607 0.591 0.309
Rb11 Rb 0.731 0.252 0.532
Rb12 Rb 0.731 0.748 0.032
Rb13 Rb 0.769 0.248 0.032
Rb14 Rb 0.769 0.752 0.532
Rb15 Rb 0.893 0.091 0.309
Rb16 Rb 0.893 0.909 0.809
Te1 Te 0.070 0.492 0.650
Te2 Te 0.070 0.508 0.150
Te3 Te 0.430 0.008 0.150
Te4 Te 0.430 0.992 0.650
Te5 Te 0.570 0.008 0.350
Te6 Te 0.570 0.992 0.850
Te7 Te 0.930 0.492 0.850
Te8 Te 0.930 0.508 0.350
H1 H 0.000 0.119 0.750
H2 H 0.000 0.881 0.250
H3 H 0.128 0.168 0.956
H4 H 0.128 0.832 0.456
H5 H 0.372 0.332 0.456
H6 H 0.372 0.668 0.956
H7 H 0.500 0.381 0.250
H8 H 0.500 0.619 0.750
H9 H 0.628 0.332 0.044
H10 H 0.628 0.668 0.544
H11 H 0.872 0.168 0.544
H12 H 0.872 0.832 0.044
S1 S 0.053 0.213 0.462
S2 S 0.053 0.787 0.962
S3 S 0.085 0.431 0.468
S4 S 0.085 0.569 0.968
S5 S 0.158 0.382 0.729
S6 S 0.158 0.618 0.229
S7 S 0.231 0.464 0.220
S8 S 0.231 0.536 0.720
S9 S 0.269 0.036 0.720
S10 S 0.269 0.964 0.220
S11 S 0.342 0.118 0.229
S12 S 0.342 0.882 0.729
S13 S 0.415 0.069 0.968
S14 S 0.415 0.931 0.468
S15 S 0.447 0.287 0.962
S16 S 0.447 0.713 0.462
S17 S 0.553 0.287 0.538
S18 S 0.553 0.713 0.038
S19 S 0.585 0.069 0.532
S20 S 0.585 0.931 0.032
S21 S 0.658 0.118 0.271
S22 S 0.658 0.882 0.771
S23 S 0.731 0.036 0.780
S24 S 0.731 0.964 0.280
S25 S 0.769 0.464 0.280
S26 S 0.769 0.536 0.780
S27 S 0.842 0.382 0.771
S28 S 0.842 0.618 0.271
S29 S 0.915 0.431 0.032
S30 S 0.915 0.569 0.532
S31 S 0.947 0.213 0.038
S32 S 0.947 0.787 0.538
O1 O 0.006 0.197 0.543
O2 O 0.006 0.803 0.043
O3 O 0.030 0.208 0.352
O4 O 0.030 0.792 0.852
O5 O 0.109 0.129 0.479
O6 O 0.109 0.871 0.979
O7 O 0.202 0.325 0.228
O8 O 0.202 0.675 0.728
O9 O 0.230 0.000 0.313
O10 O 0.230 0.000 0.813
O11 O 0.238 0.012 0.618
O12 O 0.238 0.988 0.118
O13 O 0.262 0.488 0.118
O14 O 0.262 0.512 0.618
O15 O 0.270 0.500 0.313
O16 O 0.270 0.500 0.813
O17 O 0.298 0.175 0.728
O18 O 0.298 0.825 0.228
O19 O 0.391 0.371 0.979
O20 O 0.391 0.629 0.479
O21 O 0.470 0.292 0.852
O22 O 0.470 0.708 0.352
O23 O 0.494 0.303 0.043
O24 O 0.494 0.697 0.543
O25 O 0.506 0.303 0.457
O26 O 0.506 0.697 0.957
O27 O 0.530 0.292 0.648
O28 O 0.530 0.708 0.148
O29 O 0.609 0.371 0.521
O30 O 0.609 0.629 0.021
O31 O 0.702 0.175 0.772
O32 O 0.702 0.825 0.272
O33 O 0.730 0.500 0.187
O34 O 0.730 0.500 0.687
O35 O 0.738 0.488 0.382
O36 O 0.738 0.512 0.882
O37 O 0.762 0.012 0.882
O38 O 0.762 0.988 0.382
O39 O 0.770 0.000 0.187
O40 O 0.770 0.000 0.687
O41 O 0.798 0.325 0.272
O42 O 0.798 0.675 0.772
O43 O 0.891 0.129 0.021
O44 O 0.891 0.871 0.521
O45 O 0.970 0.208 0.148
O46 O 0.970 0.792 0.648
O47 O 0.994 0.197 0.957
O48 O 0.994 0.803 0.457
# Formation energy, eV per atom: -1.068
# Raw total energy, Ha/atom: -0.1718

---

# 2
# Nd6Ge3Se14 | the Materials Project | PBE | optimized geometry
data_Nd6Ge3Se14
_cell_length_a 10.706
_cell_length_b 10.706
_cell_length_c 6.098
_cell_angle_alpha 90.00
_cell_angle_beta 90.00
_cell_angle_gamma 120.00
_space_group_name_H-M_alt 'P 1'
_space_group_IT_number 1
loop_
_space_group_symop_operation_xyz
'x,y,z'
loop_
_atom_site_label
_atom_site_type_symbol
_atom_site_fract_x
_atom_site_fract_y
_atom_site_fract_z
Nd1 Nd 0.025 0.464 0.000
Nd2 Nd 0.309 0.203 0.498
Nd3 Nd 0.439 0.975 0.000
Nd4 Nd 0.536 0.561 0.000
Nd5 Nd 0.797 0.106 0.498
Nd6 Nd 0.894 0.691 0.498
Ge1 Ge 0.000 0.000 0.080
Ge2 Ge 0.333 0.667 0.582
Ge3 Ge 0.667 0.333 0.734
Se1 Se 0.000 0.000 0.695
Se2 Se 0.084 0.234 0.242
Se3 Se 0.150 0.916 0.242
Se4 Se 0.184 0.751 0.744
Se5 Se 0.249 0.433 0.744
Se6 Se 0.333 0.667 0.197
Se7 Se 0.410 0.238 0.974
Se8 Se 0.502 0.076 0.484
Se9 Se 0.567 0.816 0.744
Se10 Se 0.574 0.498 0.484
Se11 Se 0.762 0.172 0.974
Se12 Se 0.766 0.850 0.242
Se13 Se 0.828 0.590 0.974
Se14 Se 0.924 0.426 0.484
# Formation energy, eV per atom: -1.617
# Raw total energy, Ha/atom: -0.1949

---

# 3
# Hf4FeS8 | the Materials Project | PBE | optimized geometry
data_Hf4FeS8
_cell_length_a 6.875
_cell_length_b 6.875
_cell_length_c 8.537
_cell_angle_alpha 125.72
_cell_angle_beta 125.72
_cell_angle_gamma 63.20
_space_group_name_H-M_alt 'P 1'
_space_group_IT_number 1
loop_
_space_group_symop_operation_xyz
'x,y,z'
loop_
_atom_site_label
_atom_site_type_symbol
_atom_site_fract_x
_atom_site_fract_y
_atom_site_fract_z
Hf1 Hf 0.246 0.754 0.000
Hf2 Hf 0.251 0.251 0.497
Hf3 Hf 0.749 0.749 0.503
Hf4 Hf 0.754 0.246 0.000
Fe1 Fe 0.000 0.000 0.500
S1 S 0.209 0.715 0.665
S2 S 0.210 0.210 0.165
S3 S 0.285 0.791 0.335
S4 S 0.289 0.289 0.830
S5 S 0.711 0.711 0.170
S6 S 0.715 0.209 0.665
S7 S 0.790 0.790 0.835
S8 S 0.791 0.285 0.335
# Formation energy, eV per atom: -1.695
# Raw total energy, Ha/atom: -0.2810